La2Ge5Rh3 after structural relaxation, computed with PBE-GGA.

For the formation energy from the elements, the calculation gives -0.845 eV/atom.

a b c (Å): 8.563 8.563 8.563
angles (deg): 106.34 88.47 138.19
Sites, in units of the cell vectors:
La 0.133 0.232 0.365
La 0.367 0.732 0.099
La 0.633 0.268 0.901
La 0.867 0.768 0.635
Ge 0.025 0.750 0.275
Ge 0.100 0.657 0.758
Ge 0.250 0.250 0.000
Ge 0.400 0.157 0.557
Ge 0.475 0.750 0.725
Ge 0.525 0.250 0.275
Ge 0.600 0.843 0.443
Ge 0.750 0.750 0.000
Ge 0.900 0.343 0.242
Ge 0.975 0.250 0.725
Rh 0.140 0.892 0.032
Rh 0.250 0.750 0.500
Rh 0.360 0.392 0.752
Rh 0.640 0.608 0.248
Rh 0.750 0.250 0.500
Rh 0.860 0.108 0.968